P.
Below is a relaxed MnH12C2N2Cl4 crystal, with properties calculated at the PBE-GGA level.

symmetry: No. 138

Lattice parameters (Å, degrees): 7.285 7.285 19.694 90.00 90.00 90.00
Atoms (fractional coordinates):
1 H 0.750 0.425 0.446
2 H 0.750 0.925 0.554
3 H 0.575 0.250 0.054
4 H 0.806 0.306 0.029
5 H 0.194 0.306 0.529
6 H 0.811 0.689 0.832
7 H 0.306 0.194 0.971
8 H 0.189 0.689 0.332
9 H 0.744 0.405 0.144
10 H 0.250 0.925 0.054
11 H 0.311 0.811 0.168
12 H 0.095 0.244 0.644
13 H 0.256 0.405 0.644
14 H 0.756 0.095 0.356
15 H 0.689 0.811 0.668
16 H 0.425 0.750 0.054
17 H 0.905 0.756 0.644
18 H 0.194 0.694 0.029
19 H 0.405 0.256 0.856
20 H 0.595 0.744 0.856
21 H 0.750 0.075 0.054
22 H 0.575 0.750 0.554
23 H 0.425 0.250 0.554
24 H 0.925 0.250 0.446
25 H 0.806 0.694 0.529
26 H 0.095 0.756 0.144
27 H 0.306 0.806 0.471
28 H 0.250 0.075 0.554
29 H 0.694 0.806 0.971
30 H 0.244 0.905 0.356
31 H 0.750 0.575 0.946
32 H 0.256 0.595 0.144
33 H 0.405 0.744 0.356
34 H 0.311 0.189 0.668
35 H 0.811 0.311 0.332
36 H 0.905 0.244 0.144
37 H 0.595 0.256 0.356
38 H 0.756 0.905 0.856
39 H 0.244 0.095 0.856
40 H 0.075 0.250 0.946
41 H 0.925 0.750 0.946
42 H 0.075 0.750 0.446
43 H 0.189 0.311 0.832
44 H 0.250 0.425 0.946
45 H 0.250 0.575 0.446
46 H 0.744 0.595 0.644
47 H 0.694 0.194 0.471
48 H 0.689 0.189 0.168
49 Cl 0.786 0.286 0.625
50 Cl 0.000 0.500 0.773
51 Cl 0.214 0.714 0.625
52 Cl 0.500 0.000 0.227
53 Cl 0.000 0.000 0.750
54 Cl 0.500 0.000 0.727
55 Cl 0.500 0.500 0.250
56 Cl 0.786 0.714 0.125
57 Cl 0.714 0.214 0.875
58 Cl 0.500 0.500 0.750
59 Cl 0.214 0.286 0.125
60 Cl 0.714 0.786 0.375
61 Cl 0.000 0.500 0.273
62 Cl 0.000 0.000 0.250
63 Cl 0.286 0.786 0.875
64 Cl 0.286 0.214 0.375
65 N 0.267 0.233 0.866
66 N 0.233 0.267 0.634
67 N 0.767 0.267 0.134
68 N 0.267 0.767 0.366
69 N 0.733 0.767 0.866
70 N 0.233 0.733 0.134
71 N 0.733 0.233 0.366
72 N 0.767 0.733 0.634
73 C 0.221 0.721 0.437
74 C 0.279 0.779 0.063
75 C 0.721 0.779 0.563
76 C 0.779 0.721 0.937
77 C 0.779 0.279 0.437
78 C 0.221 0.279 0.937
79 C 0.721 0.221 0.063
80 C 0.279 0.221 0.563
81 Mn 0.750 0.750 0.250
82 Mn 0.250 0.750 0.750
83 Mn 0.250 0.250 0.250
84 Mn 0.750 0.250 0.750



Q.
Below is a relaxed MnH12C2N2Cl4 crystal, with properties calculated at the PBE-GGA level.

symmetry: No. 64

Lattice parameters (Å, degrees): 9.945 9.945 7.177 90.00 90.00 136.58
Atoms (fractional coordinates):
1 Cl 0.126 0.874 0.963
2 Cl 0.374 0.626 0.463
3 Cl 0.263 0.237 0.250
4 Cl 0.874 0.126 0.037
5 Cl 0.237 0.263 0.750
6 Cl 0.763 0.737 0.250
7 Cl 0.626 0.374 0.537
8 Cl 0.737 0.763 0.750
9 H 0.839 0.403 0.990
10 H 0.698 0.525 0.022
11 H 0.387 0.613 0.172
12 H 0.403 0.839 0.010
13 H 0.597 0.161 0.990
14 H 0.097 0.661 0.510
15 H 0.339 0.903 0.510
16 H 0.887 0.113 0.328
17 H 0.809 0.191 0.694
18 H 0.525 0.698 0.978
19 H 0.161 0.597 0.010
20 H 0.475 0.302 0.022
21 H 0.302 0.475 0.978
22 H 0.802 0.975 0.522
23 H 0.613 0.387 0.828
24 H 0.691 0.309 0.194
25 H 0.025 0.198 0.522
26 H 0.198 0.025 0.478
27 H 0.975 0.802 0.478
28 H 0.113 0.887 0.672
29 H 0.903 0.339 0.490
30 H 0.309 0.691 0.806
31 H 0.661 0.097 0.490
32 H 0.191 0.809 0.306
33 N 0.385 0.615 0.026
34 N 0.615 0.385 0.974
35 N 0.885 0.115 0.474
36 N 0.115 0.885 0.526
37 C 0.191 0.809 0.459
38 C 0.691 0.309 0.041
39 C 0.809 0.191 0.541
40 C 0.309 0.691 0.959
41 Mn 0.500 0.500 0.500
42 Mn 0.000 0.000 0.000



Stability check: which of them is least stable? Q.



P.
Below is a relaxed Si crystal, with properties calculated at the PBE-GGA level.

symmetry: No. 194

Lattice parameters (Å, degrees): 3.850 3.850 6.366 90.00 90.00 120.00
Atoms (fractional coordinates):
1 Si 0.333 0.667 0.563
2 Si 0.333 0.667 0.937
3 Si 0.667 0.333 0.063
4 Si 0.667 0.333 0.437



Q.
Below is a relaxed Si crystal, with properties calculated at the PBE-GGA level.

symmetry: No. 217
largest piezoelectric modulus: 0.00 C/m2

Lattice parameters (Å, degrees): 8.748 8.748 8.748 109.47 109.47 109.47
Atoms (fractional coordinates):
1 Si 0.728 0.728 0.169
2 Si 0.250 0.750 0.500
3 Si 0.000 0.271 0.000
4 Si 0.000 0.000 0.000
5 Si 0.500 0.250 0.750
6 Si 0.750 0.500 0.250
7 Si 0.441 0.000 0.272
8 Si 0.271 0.000 0.000
9 Si 0.272 0.441 0.000
10 Si 0.272 0.000 0.441
11 Si 0.728 0.169 0.728
12 Si 0.000 0.000 0.271
13 Si 0.169 0.728 0.728
14 Si 0.500 0.750 0.250
15 Si 0.000 0.272 0.441
16 Si 0.000 0.441 0.272
17 Si 0.750 0.250 0.500
18 Si 0.250 0.500 0.750
19 Si 0.559 0.831 0.559
20 Si 0.729 0.729 0.729
21 Si 0.831 0.559 0.559
22 Si 0.559 0.559 0.831
23 Si 0.441 0.272 0.000



Stability check: which of them is least stable? Q.



P.
Below is a relaxed Si crystal, with properties calculated at the PBE-GGA level.

symmetry: No. 229

Lattice parameters (Å, degrees): 5.830 5.830 5.830 109.47 109.47 109.47
Atoms (fractional coordinates):
1 Si 0.500 0.750 0.250
2 Si 0.250 0.500 0.750
3 Si 0.250 0.750 0.500
4 Si 0.750 0.500 0.250
5 Si 0.500 0.250 0.750
6 Si 0.750 0.250 0.500



Q.
Below is a relaxed Si crystal, with properties calculated at the PBE-GGA level.

symmetry: No. 166

Lattice parameters (Å, degrees): 7.044 7.044 7.044 21.98 21.98 21.98
Atoms (fractional coordinates):
1 Si 0.000 0.000 0.000
2 Si 0.778 0.778 0.778
3 Si 0.222 0.222 0.222



Stability check: which of them is least stable? Q.



P.
Below is a relaxed BaZnSe2O6 crystal, with properties calculated at the PBE-GGA level.

symmetry: No. 14

Lattice parameters (Å, degrees): 16.780 5.654 8.696 56.70 90.00 90.00
Atoms (fractional coordinates):
1 Ba 0.782 0.516 0.850
2 Ba 0.282 0.484 0.650
3 Ba 0.718 0.516 0.350
4 Ba 0.218 0.484 0.150
5 O 0.411 0.143 0.663
6 O 0.649 0.409 0.689
7 O 0.851 0.409 0.189
8 O 0.351 0.591 0.311
9 O 0.845 0.375 0.605
10 O 0.151 0.051 0.823
11 O 0.468 0.693 0.684
12 O 0.532 0.307 0.316
13 O 0.345 0.625 0.895
14 O 0.718 0.947 0.957
15 O 0.032 0.693 0.184
16 O 0.089 0.143 0.163
17 O 0.655 0.375 0.105
18 O 0.149 0.591 0.811
19 O 0.911 0.857 0.837
20 O 0.155 0.625 0.395
21 O 0.282 0.053 0.043
22 O 0.968 0.307 0.816
23 O 0.218 0.053 0.543
24 O 0.589 0.857 0.337
25 O 0.782 0.947 0.457
26 O 0.349 0.051 0.323
27 O 0.849 0.949 0.177
28 O 0.651 0.949 0.677
29 Se 0.566 0.208 0.170
30 Se 0.934 0.208 0.670
31 Se 0.632 0.043 0.834
32 Se 0.368 0.957 0.166
33 Se 0.868 0.043 0.334
34 Se 0.066 0.792 0.330
35 Se 0.434 0.792 0.830
36 Se 0.132 0.957 0.666
37 Zn 0.079 0.245 0.905
38 Zn 0.921 0.755 0.095
39 Zn 0.421 0.245 0.405
40 Zn 0.579 0.755 0.595



Q.
Below is a relaxed BaZnSe2O6 crystal, with properties calculated at the PBE-GGA level.

symmetry: No. 14

Lattice parameters (Å, degrees): 5.757 7.029 26.368 90.00 90.00 111.81
Atoms (fractional coordinates):
1 Se 0.785 0.259 0.879
2 Se 0.785 0.759 0.621
3 Se 0.215 0.241 0.379
4 Se 0.853 0.149 0.531
5 Se 0.215 0.741 0.121
6 Se 0.147 0.851 0.469
7 Se 0.147 0.351 0.031
8 Se 0.853 0.649 0.969
9 Ba 0.594 0.943 0.360
10 Ba 0.406 0.057 0.640
11 Ba 0.406 0.557 0.860
12 Ba 0.594 0.443 0.140
13 Zn 0.789 0.033 0.976
14 Zn 0.789 0.533 0.524
15 Zn 0.211 0.467 0.476
16 Zn 0.211 0.967 0.024
17 O 0.826 0.288 0.475
18 O 0.082 0.972 0.390
19 O 0.008 0.735 0.660
20 O 0.267 0.700 0.430
21 O 0.818 0.237 0.030
22 O 0.174 0.212 0.975
23 O 0.733 0.300 0.570
24 O 0.267 0.200 0.070
25 O 0.082 0.472 0.110
26 O 0.174 0.712 0.525
27 O 0.918 0.528 0.890
28 O 0.466 0.258 0.343
29 O 0.182 0.763 0.970
30 O 0.733 0.800 0.930
31 O 0.918 0.028 0.610
32 O 0.992 0.765 0.160
33 O 0.182 0.263 0.530
34 O 0.826 0.788 0.025
35 O 0.818 0.737 0.470
36 O 0.534 0.242 0.843
37 O 0.008 0.235 0.840
38 O 0.534 0.742 0.657
39 O 0.992 0.265 0.340
40 O 0.466 0.758 0.157



Stability check: which of them is least stable? Q.



P.
Below is a relaxed Np crystal, with properties calculated at the PBE-GGA level.

symmetry: No. 129

Lattice parameters (Å, degrees): 3.470 4.613 4.613 90.00 90.00 90.00
Atoms (fractional coordinates):
1 Np 0.000 0.500 0.500
2 Np 0.319 0.500 0.000
3 Np 0.681 0.000 0.500
4 Np 0.000 0.000 0.000



Q.
Below is a relaxed Np crystal, with properties calculated at the PBE-GGA level.

symmetry: No. 62

Lattice parameters (Å, degrees): 4.667 4.796 6.587 90.00 90.00 90.00
Atoms (fractional coordinates):
1 Np 0.750 0.718 0.455
2 Np 0.250 0.860 0.318
3 Np 0.250 0.282 0.545
4 Np 0.250 0.218 0.045
5 Np 0.750 0.360 0.182
6 Np 0.250 0.640 0.818
7 Np 0.750 0.782 0.955
8 Np 0.750 0.140 0.682



Stability check: which of them is least stable? P.



P.
Below is a relaxed Mg7Si4 crystal, with properties calculated at the PBE-GGA level.

symmetry: No. 1

Lattice parameters (Å, degrees): 5.443 6.221 13.176 87.02 85.19 88.60
Atoms (fractional coordinates):
1 Mg 0.254 0.622 0.356
2 Mg 0.447 0.662 0.082
3 Mg 0.965 0.946 0.573
4 Mg 0.904 0.847 0.194
5 Mg 0.492 0.242 0.538
6 Mg 0.701 0.348 0.240
7 Mg 0.474 0.720 0.593
8 Mg 0.511 0.168 0.031
9 Mg 0.898 0.675 0.772
10 Mg 0.105 0.149 0.377
11 Mg 0.985 0.455 0.565
12 Mg 0.769 0.193 0.768
13 Mg 0.979 0.437 0.005
14 Mg 0.018 0.940 0.957
15 Si 0.402 0.970 0.223
16 Si 0.262 0.993 0.746
17 Si 0.624 0.976 0.386
18 Si 0.479 0.488 0.880
19 Si 0.510 0.873 0.885
20 Si 0.736 0.601 0.403
21 Si 0.209 0.325 0.190
22 Si 0.279 0.380 0.731



Q.
Below is a relaxed Mg7Si4 crystal, with properties calculated at the PBE-GGA level.

symmetry: No. 1

Lattice parameters (Å, degrees): 5.270 6.102 14.177 96.39 94.41 101.00
Atoms (fractional coordinates):
1 Si 0.990 0.199 0.863
2 Si 0.895 0.195 0.180
3 Si 0.647 0.540 0.726
4 Si 0.684 0.579 0.385
5 Si 0.994 0.616 0.860
6 Si 0.327 0.755 0.316
7 Si 0.636 0.121 0.728
8 Si 0.899 0.601 0.229
9 Mg 0.204 0.748 0.692
10 Mg 0.955 0.932 0.014
11 Mg 0.474 0.517 0.914
12 Mg 0.956 0.453 0.034
13 Mg 0.767 0.071 0.357
14 Mg 0.697 0.824 0.571
15 Mg 0.487 0.801 0.136
16 Mg 0.437 0.006 0.898
17 Mg 0.434 0.282 0.101
18 Mg 0.196 0.979 0.480
19 Mg 0.677 0.321 0.551
20 Mg 0.158 0.242 0.682
21 Mg 0.306 0.225 0.301
22 Mg 0.185 0.490 0.478



Stability check: which of them is least stable? Q.